(1)
# Nd5Tl3 (PBE-GGA, optimized geometry)
# **Calculated formation energy**: -0.32 eV per atom
# **Total moment**: 0.5 μB per formula unit
# **Total energy**: -4.185 eV/atom
data_Nd5Tl3
_symmetry_space_group_name_H-M 'I 4/m c m'
_symmetry_Int_Tables_number 140
_symmetry_space_group_name_Hall '-I 4 2c'
_cell_length_a 12.603
_cell_length_b 12.603
_cell_length_c 6.358
_cell_angle_alpha 90.00
_cell_angle_beta 90.00
_cell_angle_gamma 90.00
loop_
_atom_site_label
_atom_site_fract_x
_atom_site_fract_y
_atom_site_fract_z
Nd1 0.000 0.500 0.250
Nd2 0.086 0.217 0.000
Tl1 0.000 0.000 0.250
Tl2 0.160 0.340 0.500

***

(2)
# NdTl3 (PBE-GGA, optimized geometry)
# **Calculated formation energy**: -0.32 eV per atom
# **Total energy**: -3.283 eV/atom
data_NdTl3
_symmetry_space_group_name_H-M 'P m -3 m'
_symmetry_Int_Tables_number 221
_symmetry_space_group_name_Hall '-P 4 2 3'
_cell_length_a 4.842
_cell_length_b 4.842
_cell_length_c 4.842
_cell_angle_alpha 90.00
_cell_angle_beta 90.00
_cell_angle_gamma 90.00
loop_
_atom_site_label
_atom_site_fract_x
_atom_site_fract_y
_atom_site_fract_z
Nd1 0.000 0.000 0.000
Tl1 0.000 0.500 0.500

***

(3)
# Nd3Tl5 (PBE-GGA, optimized geometry)
# **Calculated formation energy**: -0.37 eV per atom
# **Total energy**: -3.636 eV/atom
data_Nd3Tl5
_symmetry_space_group_name_H-M 'C m c m'
_symmetry_Int_Tables_number 63
_symmetry_space_group_name_Hall '-C 2c 2'
_cell_length_a 10.518
_cell_length_b 8.394
_cell_length_c 10.620
_cell_angle_alpha 90.00
_cell_angle_beta 90.00
_cell_angle_gamma 90.00
loop_
_atom_site_label
_atom_site_fract_x
_atom_site_fract_y
_atom_site_fract_z
Nd1 0.000 0.129 0.250
Nd2 0.201 0.500 0.000
Tl1 0.000 0.193 0.551
Tl2 0.000 0.496 0.750
Tl3 0.225 0.215 0.750

***

(4)
# Nd2Tl (PBE-GGA, optimized geometry)
# **Calculated formation energy**: -0.27 eV per atom
# **Total energy**: -4.234 eV/atom
data_Nd2Tl
_symmetry_space_group_name_H-M 'P 63/m m c'
_symmetry_Int_Tables_number 194
_symmetry_space_group_name_Hall '-P 6c 2c'
_cell_length_a 5.5890
_cell_length_b 5.5890
_cell_length_c 6.9718
_cell_angle_alpha 90.00
_cell_angle_beta 90.00
_cell_angle_gamma 120.00
loop_
_atom_site_label
_atom_site_fract_x
_atom_site_fract_y
_atom_site_fract_z
Nd1 0.0000 0.0000 0.0000
Nd2 0.3333 0.6667 0.2500
Tl1 0.3333 0.6667 0.7500

***

calculated formation energy of number 1 (Nd5Tl3)?
-0.32 eV per atom

***

What is the formula in the fourth record?
Nd2Tl